Run A
Computed, not measured: a relaxed U3Cl crystal at the PBE-GGA level of DFT.

Structure (extended XYZ):
```
4
Lattice="-2.0402 2.0402 4.6500 2.0402 -2.0402 4.6500 2.0402 2.0402 -4.6500" Properties=species:S:1:pos:R:3 pbc="T T T"
U 0.0000 0.0000 0.0000
U 2.0402 0.0000 2.3250
U 0.0000 2.0402 2.3250
Cl 0.0000 0.0000 4.6500
```

## Properties
Space-group type: I4/mmm (139)
Density, g/cm³: 16.08
Size of the total moment, μB/atom: 0.520


Run B
Computed, not measured: a relaxed U3Cl crystal at the PBE-GGA level of DFT.

Structure (extended XYZ):
```
4
Lattice="4.2454 0.0000 0.0000 0.0000 4.2454 0.0000 0.0000 0.0000 4.2454" Properties=species:S:1:pos:R:3 pbc="T T T"
U 0.0000 0.0000 2.1227
U 0.0000 2.1227 0.0000
U 2.1227 0.0000 0.0000
Cl 2.1227 2.1227 2.1227
```

## Properties
Space-group type: Pm-3m (221)
Density, g/cm³: 16.27
Size of the total moment, μB/atom: 0.570


If you had to bet on the most stable structure above, which would it be? Bet on run B.